No. 1
The following is a DFT calculation (PBE) of a geometry-optimized Li7PS6 structure.

The structure in CIF format:
```
data_Li7PS6
_space_group_name_H-M_alt 'P n a 21'
_space_group_IT_number 33
_space_group_name_Hall 'P 2c -2n'
_cell_length_a 14.1686
_cell_length_b 7.1734
_cell_length_c 9.8570
_cell_angle_alpha 90.00
_cell_angle_beta 90.00
_cell_angle_gamma 90.00
loop_
_atom_site_label
_atom_site_type_symbol
_atom_site_fract_x
_atom_site_fract_y
_atom_site_fract_z
Li1 Li 0.0265 0.1717 0.0000
Li2 Li 0.0427 0.4454 0.6522
Li3 Li 0.1091 0.0493 0.6888
Li4 Li 0.1278 0.6465 0.8396
Li5 Li 0.1793 0.7432 0.3607
Li6 Li 0.2173 0.3941 0.0513
Li7 Li 0.2345 0.4759 0.6343
P1 P 0.1147 0.2319 0.3534
S1 S 0.0008 0.7877 0.9796
S2 S 0.1048 0.0110 0.2206
S3 S 0.1140 0.4741 0.2403
S4 S 0.1308 0.7370 0.5988
S5 S 0.1444 0.3043 0.8369
S6 S 0.2323 0.2204 0.4735
```



No. 2
The following is a DFT calculation (PBE) of a geometry-optimized Li2PS3 structure.

The structure in CIF format:
```
data_Li2PS3
_space_group_name_H-M_alt 'P 63 c m'
_space_group_IT_number 185
_space_group_name_Hall 'P 6c -2'
_cell_length_a 6.1563
_cell_length_b 6.1563
_cell_length_c 6.4103
_cell_angle_alpha 90.00
_cell_angle_beta 90.00
_cell_angle_gamma 120.00
loop_
_atom_site_label
_atom_site_type_symbol
_atom_site_fract_x
_atom_site_fract_y
_atom_site_fract_z
Li1 Li 0.3333 0.6667 0.0000
P1 P 0.0000 0.0000 0.1987
S1 S 0.0000 0.3275 0.2409
```

Relative energy among the computed polymorphs in meV per atom: 4.7



No. 3
The following is a DFT calculation (PBE) of a geometry-optimized Li2PS3 structure.

The structure in CIF format:
```
data_Li2PS3
_space_group_name_H-M_alt 'P n m a'
_space_group_IT_number 62
_space_group_name_Hall '-P 2ac 2n'
_cell_length_a 6.4399
_cell_length_b 10.6657
_cell_length_c 6.1637
_cell_angle_alpha 90.00
_cell_angle_beta 90.00
_cell_angle_gamma 90.00
loop_
_atom_site_label
_atom_site_type_symbol
_atom_site_fract_x
_atom_site_fract_y
_atom_site_fract_z
Li1 Li 0.9997 0.0833 0.2438
P1 P 0.2039 0.2500 0.7501
S1 S 0.2450 0.2500 0.4217
S2 S 0.2498 0.0859 0.9140
```

Relative energy among the computed polymorphs in meV per atom: 0.0



Record order is preserved below.
Ρ: 1.80; 2.23; 2.21 Mg/m³
Record order is preserved below.
Formation energy from the elements: -1.29; -0.97; -0.98 eV/atom